(1)
PBE H5PbCBr3N2, optimized geometry; calculated total energy = -57.3 eV per cell; magnetization = 0.00 μB per formula unit; calculated density = 3.6 Mg/m³
1.0
6.1594 0.0000 0.0000
0.0000 6.1997 0.0000
0.0000 0.0000 5.9689
H Pb C Br N
5 1 1 3 2
direct
0.0000 0.0000 0.0000
0.0000 0.2103 0.5487
0.0000 0.3208 0.8184
0.0000 0.6792 0.8184
0.0000 0.7897 0.5487
0.5000 0.5000 0.2465
0.0000 0.0000 0.8173
0.0000 0.5000 0.2133
0.5000 0.0000 0.2625
0.5000 0.5000 0.7479
0.0000 0.1883 0.7180
0.0000 0.8117 0.7180


(2)
PBE Cs2KTlBr6, optimized geometry; calculated total energy = -27.9 eV per cell; magnetization = 0.00 μB per formula unit; calculated density = 3.9 Mg/m³
1.0
0.0000 5.9523 5.9523
5.9523 0.0000 5.9523
5.9523 5.9523 0.0000
Cs K Tl Br
2 1 1 6
direct
0.2500 0.2500 0.2500
0.7500 0.7500 0.7500
0.0000 0.0000 0.0000
0.5000 0.5000 0.5000
0.2660 0.2660 0.7340
0.2660 0.7340 0.2660
0.2660 0.7340 0.7340
0.7340 0.2660 0.2660
0.7340 0.2660 0.7340
0.7340 0.7340 0.2660


(3)
PBE Eu8In3, optimized geometry; calculated total energy = -187.2 eV per cell; magnetization = 57.00 μB per formula unit; calculated density = 6.4 Mg/m³
1.0
9.9272 0.0000 0.0000
-4.9113 8.6880 0.0000
-1.9559 -2.9415 9.4354
Eu In
16 6
direct
0.0349 0.2011 0.1478
0.0368 0.2059 0.7935
0.1675 0.6207 0.3868
0.2026 0.9999 0.6135
0.2699 0.6550 0.7957
0.3788 0.8993 0.1453
0.4227 0.2710 0.3927
0.4591 0.5606 0.1701
0.5409 0.4394 0.8299
0.5773 0.7290 0.6073
0.6212 0.1007 0.8547
0.7301 0.3450 0.2043
0.7974 0.0001 0.3865
0.8325 0.3793 0.6132
0.9632 0.7941 0.2065
0.9651 0.7989 0.8522
0.0000 0.5000 0.0000
0.1743 0.3377 0.5256
0.3281 0.1631 0.9995
0.5000 0.0000 0.5000
0.6719 0.8369 0.0005
0.8257 0.6623 0.4744


(4)
PBE Na7Zn2In2P5SO24, optimized geometry; calculated total energy = -748.8 eV per cell; magnetization = 0.00 μB per formula unit; calculated density = 3.4 Mg/m³
1.0
9.0944 0.0000 0.0000
-4.5402 7.8887 0.0000
-0.0815 -0.0779 22.3399
Na Zn In P S O
21 6 6 15 3 72
direct
0.0000 0.0000 0.0000
0.0005 0.3641 0.4982
0.2676 0.6248 0.0000
0.2731 0.9991 0.5002
0.2898 0.6888 0.3371
0.2963 0.3266 0.0858
0.3154 0.3447 0.5842
0.3335 0.6603 0.6684
0.3356 0.0314 0.1684
0.5943 0.2925 0.6661
0.5946 0.6614 0.1665
0.6208 0.9876 0.7490
0.6231 0.3561 0.0031
0.6405 0.9996 0.2484
0.6588 0.3216 0.3340
0.6599 0.6948 0.8332
0.9410 0.3252 0.8356
0.9597 0.6647 0.4190
0.9629 0.2900 0.1693
0.9635 0.0308 0.6713
0.9813 0.6774 0.9182
0.2826 0.3124 0.2377
0.2852 0.3227 0.9339
0.2870 0.3260 0.7372
0.3013 0.3318 0.4333
0.6186 0.9898 0.6002
0.6289 0.9934 0.0988
0.6247 0.9884 0.9038
0.6305 0.9980 0.4036
0.9604 0.6577 0.5707
0.9639 0.6605 0.0712
0.9692 0.6672 0.2676
0.9750 0.6716 0.7675
0.0005 0.0309 0.8360
0.0008 0.3255 0.3358
0.2654 0.9642 0.6668
0.2677 0.6602 0.1692
0.2948 0.0330 0.3367
0.2969 0.6210 0.8355
0.3330 0.6930 0.5027
0.3338 0.9961 0.0039
0.6283 0.2943 0.5031
0.6284 0.6931 0.0027
0.6613 0.3603 0.1700
0.6629 0.6600 0.6704
0.9258 0.2902 0.0028
0.9612 0.9603 0.1678
0.9619 0.3587 0.6692
0.5902 0.3259 0.8348
0.5904 0.6211 0.3350
0.9251 0.9929 0.5036
0.0802 0.1348 0.7792
0.0813 0.3096 0.2778
0.0954 0.1488 0.4988
0.1017 0.1108 0.8936
0.1048 0.3100 0.9982
0.1093 0.3542 0.3922
0.1231 0.1360 0.1740
0.1230 0.3432 0.6746
0.1294 0.6305 0.8318
0.1388 0.8493 0.3331
0.1525 0.6255 0.1131
0.1528 0.8340 0.0067
0.1531 0.8879 0.6098
0.1536 0.6835 0.5050
0.1845 0.8431 0.7203
0.1878 0.6941 0.2252
0.2728 0.5164 0.8927
0.2781 0.1154 0.3940
0.2814 0.1402 0.6745
0.2839 0.4998 0.1748
0.3019 0.5109 0.4972
0.3156 0.1558 0.9969
0.3254 0.1403 0.2799
0.3248 0.5412 0.7791
0.4114 0.8017 0.4450
0.4121 0.9591 0.9487
0.4377 0.7776 0.5589
0.4403 0.0239 0.0607
0.4431 0.8214 0.1636
0.4429 0.9811 0.6624
0.4573 0.0099 0.3387
0.4590 0.8004 0.8389
0.4643 0.3033 0.4966
0.4701 0.5144 0.9963
0.4849 0.3452 0.1751
0.4860 0.4998 0.6750
0.4909 0.5470 0.2793
0.4935 0.3079 0.7804
0.5104 0.5163 0.3878
0.5116 0.3477 0.8898
0.6003 0.7763 0.0579
0.6050 0.1836 0.5582
0.6066 0.7934 0.3403
0.6183 0.1772 0.8384
0.6477 0.1849 0.1649
0.6489 0.8221 0.6639
0.6644 0.8026 0.9454
0.6653 0.2188 0.4457
0.7411 0.4724 0.1135
0.7478 0.6255 0.6167
0.7626 0.6370 0.3316
0.7651 0.4838 0.8326
0.7729 0.6924 0.7280
0.7755 0.4436 0.2261
0.7909 0.6753 0.0067
0.7936 0.4711 0.5065
0.8022 0.1816 0.6630
0.8019 0.9786 0.1629
0.8174 0.1684 0.3393
0.8171 0.2152 0.9449
0.8192 0.0169 0.8386
0.8218 0.9671 0.4489
0.8417 0.1805 0.0579
0.8444 0.0135 0.5577
0.9248 0.8397 0.2213
0.9273 0.4397 0.7251
0.9444 0.4708 0.0062
0.9511 0.8429 0.5060
0.9674 0.8450 0.8331
0.9783 0.4883 0.3332
0.9962 0.8851 0.1105
0.9972 0.4721 0.6132


(5)
PBE FeNiS4, optimized geometry; calculated total energy = -65.8 eV per cell; magnetization = 1.32 μB per formula unit; calculated density = 4.8 Mg/m³
1.0
5.4769 0.0000 0.0000
0.0000 5.5373 0.0000
-0.0361 0.0000 5.5238
Fe Ni S
2 2 8
direct
0.0000 0.0000 0.0000
0.0000 0.5000 0.5000
0.5000 0.0000 0.5000
0.5000 0.5000 0.0000
0.1061 0.1188 0.3809
0.1061 0.3812 0.8809
0.3812 0.6071 0.3954
0.3812 0.8929 0.8954
0.6188 0.1071 0.1046
0.6188 0.3929 0.6046
0.8939 0.6188 0.1191
0.8939 0.8812 0.6191


(6)
PBE AlPd5, optimized geometry; calculated total energy = -129.7 eV per cell; calculated density = 10.2 Mg/m³
1.0
10.8950 0.0000 0.0000
0.0000 4.0667 0.0000
0.0000 0.0000 8.2158
Al Pd
4 20
direct
0.0784 0.2500 0.1120
0.4216 0.7500 0.6120
0.5784 0.2500 0.3880
0.9216 0.7500 0.8880
0.0425 0.2500 0.7811
0.0703 0.2500 0.4279
0.1641 0.7500 0.9561
0.1843 0.7500 0.6159
0.2035 0.7500 0.2857
0.2965 0.2500 0.7857
0.3157 0.2500 0.1159
0.3359 0.2500 0.4561
0.4297 0.7500 0.9279
0.4575 0.7500 0.2811
0.5425 0.2500 0.7189
0.5703 0.2500 0.0721
0.6641 0.7500 0.5439
0.6843 0.7500 0.8841
0.7035 0.7500 0.2143
0.7965 0.2500 0.7143
0.8157 0.2500 0.3841
0.8359 0.2500 0.0439
0.9297 0.7500 0.5721
0.9575 0.7500 0.2189


(7)
PBE Na3ScCl6, optimized geometry; calculated total energy = -81.4 eV per cell; calculated density = 2.2 Mg/m³
1.0
6.7884 0.0000 0.0000
0.0000 7.2156 0.0000
-6.6924 0.0000 9.9982
Na Sc Cl
6 2 12
direct
0.0000 0.0000 0.0000
0.0000 0.5000 0.5000
0.2160 0.0794 0.7424
0.2160 0.4206 0.2424
0.7840 0.5794 0.7576
0.7840 0.9206 0.2576
0.5000 0.0000 0.5000
0.5000 0.5000 0.0000
0.1364 0.1756 0.4393
0.1364 0.3244 0.9393
0.2614 0.7052 0.4260
0.2614 0.7948 0.9260
0.3985 0.0546 0.2664
0.3985 0.4454 0.7664
0.6015 0.5546 0.2336
0.6015 0.9454 0.7336
0.7386 0.2052 0.0740
0.7386 0.2948 0.5740
0.8636 0.6756 0.0607
0.8636 0.8244 0.5607


(8)
PBE Ti4MnS8, optimized geometry; calculated total energy = -89.3 eV per cell; magnetization = 3.20 μB per formula unit; calculated density = 3.4 Mg/m³
1.0
3.4428 0.0000 0.0000
-1.7214 2.9816 0.0000
0.0000 0.0000 23.6824
Ti Mn S
4 1 8
direct
0.0000 0.0000 0.1250
0.0000 0.0000 0.3733
0.0000 0.0000 0.6267
0.0000 0.0000 0.8750
0.0000 0.0000 0.5000
0.3333 0.6667 0.0652
0.3333 0.6667 0.3153
0.3333 0.6667 0.5615
0.3333 0.6667 0.8151
0.6667 0.3333 0.1849
0.6667 0.3333 0.4385
0.6667 0.3333 0.6847
0.6667 0.3333 0.9348


Repeat the eighth record exactly.
PBE Ti4MnS8, optimized geometry; calculated total energy = -89.3 eV per cell; magnetization = 3.20 μB per formula unit; calculated density = 3.4 Mg/m³
1.0
3.4428 0.0000 0.0000
-1.7214 2.9816 0.0000
0.0000 0.0000 23.6824
Ti Mn S
4 1 8
direct
0.0000 0.0000 0.1250
0.0000 0.0000 0.3733
0.0000 0.0000 0.6267
0.0000 0.0000 0.8750
0.0000 0.0000 0.5000
0.3333 0.6667 0.0652
0.3333 0.6667 0.3153
0.3333 0.6667 0.5615
0.3333 0.6667 0.8151
0.6667 0.3333 0.1849
0.6667 0.3333 0.4385
0.6667 0.3333 0.6847
0.6667 0.3333 0.9348